This record from Materials Project describes a geometry-optimized Nd3NbO7 structure. The functional is PBE.

Summary:
SG: Cmcm (63)
Excess energy over the best structure of this formula in the dataset (meV/atom): 13.4
ΔE_f (meV per atom): -3630

a b c (Å): 6.682 6.682 7.746
angles (deg): 90.00 90.00 111.05
Atoms (fractional coordinates):
Nd  0.931  0.479  0.750
Nd  0.069  0.521  0.250
Nd  0.000  0.000  0.500
Nd  0.000  0.000  0.000
Nd  0.521  0.069  0.250
Nd  0.479  0.931  0.750
Nb  0.500  0.500  0.000
Nb  0.500  0.500  0.500
O  0.571  0.571  0.750
O  0.429  0.429  0.250
O  0.846  0.109  0.750
O  0.154  0.891  0.250
O  0.109  0.846  0.750
O  0.891  0.154  0.250
O  0.438  0.184  0.965
O  0.562  0.816  0.465
O  0.184  0.438  0.965
O  0.816  0.562  0.465
O  0.438  0.184  0.535
O  0.562  0.816  0.035
O  0.816  0.562  0.035
O  0.184  0.438  0.535